DFT (PBE) results for a geometry-optimized Pr3SiN3O2 structure.

The structure belongs to space group Fmm2 (No. 42); the cell edges are 9.6096, 11.1083 and 9.4583 Å and the angles 90.00°, 90.00° and 90.00°. Symmetry generates all atoms from Pr at (0.0000, 0.0000, 0.0000), Pr at (0.0000, 0.0000, 0.3425), Pr at (0.1773, 0.0000, 0.6649), Pr at (0.2500, 0.2500, 0.4235), Si at (0.0000, 0.2477, 0.1631), N at (0.0000, 0.1503, 0.5243), N at (0.1418, 0.1508, 0.1661), O at (0.0000, 0.1515, 0.8048) and O at (0.2424, 0.0000, 0.9155).

The value obtained for the size of the total moment is 0.00 Bohr magnetons per cell. As for the volume: 14.02 A^3/atom. The value obtained for the energy of formation is -19.39 eV/f.u. The value obtained for the total energy is -8.08 eV/atom.

=====

DFT (PBE) results for a geometry-optimized PrZrNO2 structure.

The structure belongs to space group P2_1/c (No. 14); the cell edges are 5.7962, 5.9683 and 10.0153 Å and the angles 90.00°, 124.72° and 90.00°. Symmetry generates all atoms from Pr at (0.2228, 0.0488, 0.2425), Zr at (0.0000, 0.0000, 0.5000), Zr at (0.5000, 0.0000, 0.0000), N at (0.1483, 0.2056, 0.9434), O at (0.2285, 0.7082, 0.9365) and O at (0.3618, 0.0387, 0.7500).

The value obtained for the size of the total moment is 0.00 Bohr magnetons per cell. As for the volume: 14.24 A^3/atom. The value obtained for the energy of formation is -14.61 eV/f.u. The value obtained for the total energy is -8.96 eV/atom.

=====

DFT (PBE) results for a geometry-optimized PtS2N4O8 structure.

The structure belongs to space group C2/m (No. 12); the cell edges are 10.7950, 7.7555 and 6.0785 Å and the angles 90.00°, 110.84° and 90.00°. Symmetry generates all atoms from Pt at (0.0000, 0.0000, 0.0000), S at (0.2039, 0.5000, 0.6362), N at (0.0000, 0.2616, 0.0000), N at (0.1322, 0.0000, 0.8255), O at (0.1400, 0.5000, 0.3809), O at (0.1424, 0.0000, 0.3237) and O at (0.1769, 0.3442, 0.7493).

The value obtained for the size of the total moment is 16.00 Bohr magnetons per cell. As for the volume: 15.85 A^3/atom. The value obtained for the energy of formation is 3.72 eV/f.u. The value obtained for the total energy is -5.20 eV/atom.